DFT (PBE-GGA) results for an optimized crystal structure of ErMgZn2.

```
4
Lattice="0.0000 3.3962 3.3962 3.3962 0.0000 3.3962 3.3962 3.3962 0.0000" Properties=species:S:1:pos:R:3 pbc="T T T"
Er 0.0000 0.0000 0.0000
Mg 3.3962 3.3962 3.3962
Zn 1.6981 1.6981 1.6981
Zn 5.0943 5.0943 5.0943
```

E_form, eV/atom: -0.336
E_tot, eV per atom: -2.508
Crystal system: cubic